Entry w
Entry from the Materials Project: an optimized crystal structure of SrB2O8 (PBE).

a b c (Å): 6.296 7.531 7.742
angles (deg): 69.61 68.64 69.31
Positions (direct):
1 Sr 0.173 0.798 0.265
2 Sr 0.827 0.202 0.735
3 B 0.826 0.744 0.033
4 B 0.174 0.256 0.967
5 B 0.597 0.740 0.543
6 B 0.403 0.260 0.457
7 O 0.787 0.921 0.096
8 O 0.213 0.079 0.904
9 O 0.603 0.712 0.079
10 O 0.397 0.288 0.921
11 O 0.004 0.619 0.128
12 O 0.996 0.381 0.872
13 O 0.935 0.813 0.833
14 O 0.065 0.187 0.167
15 O 0.418 0.833 0.445
16 O 0.582 0.167 0.555
17 O 0.720 0.545 0.513
18 O 0.280 0.455 0.487
19 O 0.480 0.677 0.749
20 O 0.520 0.323 0.251
21 O 0.768 0.836 0.518
22 O 0.232 0.164 0.482

Entry x
Entry from the Materials Project: an optimized crystal structure of SrB2O8 (PBE).

a b c (Å): 15.662 8.362 10.694
angles (deg): 62.31 90.00 90.00
Positions (direct):
1 Sr 0.832 0.991 0.772
2 Sr 0.668 0.991 0.272
3 Sr 0.168 0.009 0.228
4 Sr 0.332 0.009 0.728
5 Sr 0.589 0.518 0.731
6 Sr 0.911 0.518 0.231
7 Sr 0.411 0.482 0.269
8 Sr 0.089 0.482 0.769
9 B 0.006 0.233 0.579
10 B 0.494 0.233 0.079
11 B 0.994 0.767 0.421
12 B 0.506 0.767 0.921
13 B 0.978 0.215 0.072
14 B 0.522 0.215 0.572
15 B 0.022 0.785 0.928
16 B 0.478 0.785 0.428
17 B 0.738 0.284 0.433
18 B 0.762 0.284 0.933
19 B 0.262 0.716 0.567
20 B 0.238 0.716 0.067
21 B 0.777 0.724 0.573
22 B 0.723 0.724 0.073
23 B 0.223 0.276 0.427
24 B 0.277 0.276 0.927
25 O 0.576 0.715 0.862
26 O 0.924 0.715 0.362
27 O 0.424 0.285 0.138
28 O 0.076 0.285 0.638
29 O 0.985 0.668 0.572
30 O 0.515 0.668 0.072
31 O 0.015 0.332 0.428
32 O 0.485 0.332 0.928
33 O 0.924 0.301 0.598
34 O 0.576 0.301 0.098
35 O 0.076 0.699 0.402
36 O 0.424 0.699 0.902
37 O 0.981 0.046 0.636
38 O 0.519 0.046 0.136
39 O 0.019 0.954 0.364
40 O 0.481 0.954 0.864
41 O 0.000 0.974 0.870
42 O 0.500 0.974 0.370
43 O 0.000 0.026 0.130
44 O 0.500 0.026 0.630
45 O 0.936 0.720 0.924
46 O 0.564 0.720 0.424
47 O 0.064 0.280 0.076
48 O 0.436 0.280 0.576
49 O 0.956 0.309 0.923
50 O 0.544 0.309 0.423
51 O 0.044 0.691 0.077
52 O 0.456 0.691 0.577
53 O 0.917 0.284 0.133
54 O 0.583 0.284 0.633
55 O 0.083 0.716 0.867
56 O 0.417 0.716 0.367
57 O 0.742 0.474 0.867
58 O 0.758 0.474 0.367
59 O 0.258 0.526 0.133
60 O 0.242 0.526 0.633
61 O 0.823 0.212 0.874
62 O 0.677 0.212 0.374
63 O 0.177 0.788 0.126
64 O 0.323 0.788 0.626
65 O 0.777 0.193 0.082
66 O 0.723 0.193 0.582
67 O 0.223 0.807 0.918
68 O 0.277 0.807 0.418
69 O 0.823 0.227 0.409
70 O 0.677 0.227 0.909
71 O 0.177 0.773 0.591
72 O 0.323 0.773 0.091
73 O 0.695 0.814 0.928
74 O 0.805 0.814 0.428
75 O 0.305 0.186 0.072
76 O 0.195 0.186 0.572
77 O 0.829 0.789 0.648
78 O 0.671 0.789 0.148
79 O 0.171 0.211 0.352
80 O 0.329 0.211 0.852
81 O 0.692 0.799 0.580
82 O 0.808 0.799 0.080
83 O 0.308 0.201 0.420
84 O 0.192 0.201 0.920
85 O 0.751 0.539 0.132
86 O 0.749 0.539 0.632
87 O 0.249 0.461 0.868
88 O 0.251 0.461 0.368

Which of them is most stable? Easy: entry x.

Entry w
Entry from the Materials Project: an optimized crystal structure of TlB5O12 (PBE).

a b c (Å): 10.109 7.514 12.443
angles (deg): 90.00 84.95 90.00
Positions (direct):
1 Tl 0.265 0.260 0.961
2 Tl 0.735 0.760 0.539
3 Tl 0.735 0.740 0.039
4 Tl 0.265 0.240 0.461
5 B 0.772 0.186 0.848
6 B 0.228 0.686 0.652
7 B 0.228 0.814 0.152
8 B 0.772 0.314 0.348
9 B 0.527 0.246 0.856
10 B 0.473 0.746 0.644
11 B 0.473 0.754 0.144
12 B 0.527 0.254 0.356
13 B 0.604 0.939 0.879
14 B 0.396 0.439 0.621
15 B 0.396 0.061 0.121
16 B 0.604 0.561 0.379
17 B 0.984 0.229 0.926
18 B 0.016 0.729 0.574
19 B 0.016 0.771 0.074
20 B 0.984 0.271 0.426
21 B 0.986 0.159 0.737
22 B 0.014 0.659 0.763
23 B 0.014 0.841 0.263
24 B 0.986 0.341 0.237
25 O 0.656 0.302 0.844
26 O 0.344 0.802 0.656
27 O 0.344 0.698 0.156
28 O 0.656 0.198 0.344
29 O 0.732 0.000 0.871
30 O 0.268 0.500 0.629
31 O 0.268 0.000 0.129
32 O 0.732 0.500 0.371
33 O 0.851 0.242 0.937
34 O 0.149 0.742 0.563
35 O 0.149 0.758 0.063
36 O 0.851 0.258 0.437
37 O 0.853 0.184 0.742
38 O 0.147 0.684 0.758
39 O 0.147 0.816 0.258
40 O 0.853 0.316 0.242
41 O 0.501 0.060 0.868
42 O 0.499 0.560 0.632
43 O 0.499 0.940 0.132
44 O 0.501 0.440 0.368
45 O 0.057 0.195 0.826
46 O 0.943 0.695 0.674
47 O 0.943 0.805 0.174
48 O 0.057 0.305 0.326
49 O 0.422 0.361 0.857
50 O 0.578 0.861 0.643
51 O 0.578 0.639 0.143
52 O 0.422 0.139 0.357
53 O 0.580 0.767 0.914
54 O 0.420 0.267 0.586
55 O 0.420 0.233 0.086
56 O 0.580 0.733 0.414
57 O 0.062 0.231 0.013
58 O 0.938 0.731 0.487
59 O 0.938 0.769 0.987
60 O 0.062 0.269 0.513
61 O 0.056 0.079 0.648
62 O 0.944 0.579 0.852
63 O 0.944 0.921 0.352
64 O 0.056 0.421 0.148
65 O 0.271 0.101 0.687
66 O 0.729 0.601 0.813
67 O 0.729 0.899 0.313
68 O 0.271 0.399 0.187
69 O 0.711 0.454 0.593
70 O 0.289 0.954 0.907
71 O 0.289 0.546 0.407
72 O 0.711 0.046 0.093

Entry x
Entry from the Materials Project: an optimized crystal structure of TlB5O12 (PBE).

a b c (Å): 7.387 9.878 14.128
angles (deg): 85.65 90.00 90.00
Positions (direct):
1 Tl 0.254 0.265 0.956
2 Tl 0.754 0.735 0.544
3 Tl 0.746 0.735 0.044
4 Tl 0.246 0.265 0.456
5 B 0.156 0.759 0.863
6 B 0.656 0.241 0.637
7 B 0.844 0.241 0.137
8 B 0.344 0.759 0.363
9 B 0.259 0.523 0.861
10 B 0.759 0.477 0.639
11 B 0.741 0.477 0.139
12 B 0.241 0.523 0.361
13 B 0.947 0.559 0.894
14 B 0.447 0.441 0.606
15 B 0.053 0.441 0.106
16 B 0.553 0.559 0.394
17 B 0.207 0.984 0.927
18 B 0.707 0.016 0.573
19 B 0.793 0.016 0.073
20 B 0.293 0.984 0.427
21 B 0.130 0.974 0.765
22 B 0.630 0.026 0.735
23 B 0.870 0.026 0.235
24 B 0.370 0.974 0.265
25 O 0.295 0.657 0.851
26 O 0.795 0.343 0.649
27 O 0.705 0.343 0.149
28 O 0.205 0.657 0.351
29 O 0.976 0.697 0.895
30 O 0.476 0.303 0.605
31 O 0.024 0.303 0.105
32 O 0.524 0.697 0.395
33 O 0.213 0.847 0.937
34 O 0.713 0.153 0.563
35 O 0.787 0.153 0.063
36 O 0.287 0.847 0.437
37 O 0.121 0.839 0.770
38 O 0.621 0.161 0.730
39 O 0.879 0.161 0.230
40 O 0.379 0.839 0.270
41 O 0.076 0.480 0.852
42 O 0.576 0.520 0.648
43 O 0.924 0.520 0.148
44 O 0.424 0.480 0.352
45 O 0.175 0.054 0.837
46 O 0.675 0.946 0.663
47 O 0.825 0.946 0.163
48 O 0.325 0.054 0.337
49 O 0.386 0.422 0.882
50 O 0.886 0.578 0.618
51 O 0.614 0.578 0.118
52 O 0.114 0.422 0.382
53 O 0.803 0.501 0.941
54 O 0.303 0.499 0.559
55 O 0.197 0.499 0.059
56 O 0.697 0.501 0.441
57 O 0.232 0.062 0.002
58 O 0.732 0.938 0.498
59 O 0.768 0.938 0.998
60 O 0.268 0.062 0.502
61 O 0.084 0.042 0.673
62 O 0.584 0.958 0.827
63 O 0.916 0.958 0.327
64 O 0.416 0.042 0.173
65 O 0.116 0.175 0.665
66 O 0.616 0.825 0.835
67 O 0.884 0.825 0.335
68 O 0.384 0.175 0.165
69 O 0.418 0.695 0.570
70 O 0.918 0.305 0.930
71 O 0.582 0.305 0.430
72 O 0.082 0.695 0.070

Which of them is most stable? Easy: entry w.

Entry w
Entry from the Materials Project: an optimized crystal structure of TlB3O5 (PBE).

a b c (Å): 6.725 6.725 9.219
angles (deg): 80.17 80.17 83.15
Positions (direct):
1 Tl 0.269 0.570 0.940
2 Tl 0.430 0.731 0.560
3 Tl 0.731 0.430 0.060
4 Tl 0.570 0.269 0.440
5 B 0.809 0.790 0.734
6 B 0.210 0.191 0.766
7 B 0.191 0.210 0.266
8 B 0.790 0.809 0.234
9 B 0.931 0.428 0.680
10 B 0.572 0.069 0.820
11 B 0.069 0.572 0.320
12 B 0.428 0.931 0.180
13 B 0.035 0.112 0.567
14 B 0.888 0.965 0.933
15 B 0.965 0.888 0.433
16 B 0.112 0.035 0.067
17 O 0.932 0.909 0.598
18 O 0.091 0.068 0.902
19 O 0.068 0.091 0.402
20 O 0.909 0.932 0.098
21 O 0.904 0.784 0.867
22 O 0.216 0.096 0.633
23 O 0.096 0.216 0.133
24 O 0.784 0.904 0.367
25 O 0.102 0.398 0.747
26 O 0.602 0.898 0.753
27 O 0.898 0.602 0.253
28 O 0.398 0.102 0.247
29 O 0.791 0.592 0.696
30 O 0.408 0.209 0.804
31 O 0.209 0.408 0.304
32 O 0.592 0.791 0.196
33 O 0.894 0.286 0.597
34 O 0.714 0.106 0.903
35 O 0.106 0.714 0.403
36 O 0.286 0.894 0.097

Entry x
Entry from the Materials Project: an optimized crystal structure of TlB3O5 (PBE).

a b c (Å): 5.426 8.394 10.408
angles (deg): 90.00 90.00 90.00
Positions (direct):
1 Tl 0.460 0.732 0.637
2 Tl 0.960 0.768 0.363
3 Tl 0.540 0.232 0.863
4 Tl 0.040 0.268 0.137
5 B 0.090 0.349 0.645
6 B 0.590 0.151 0.355
7 B 0.910 0.849 0.855
8 B 0.410 0.651 0.145
9 B 0.704 0.619 0.959
10 B 0.204 0.881 0.041
11 B 0.965 0.064 0.692
12 B 0.465 0.436 0.308
13 B 0.035 0.564 0.808
14 B 0.535 0.936 0.192
15 B 0.296 0.119 0.541
16 B 0.796 0.381 0.459
17 O 0.300 0.274 0.579
18 O 0.853 0.507 0.892
19 O 0.647 0.493 0.392
20 O 0.353 0.993 0.108
21 O 0.566 0.775 0.209
22 O 0.066 0.725 0.791
23 O 0.434 0.275 0.291
24 O 0.934 0.225 0.709
25 O 0.314 0.539 0.243
26 O 0.814 0.961 0.757
27 O 0.686 0.039 0.257
28 O 0.186 0.461 0.743
29 O 0.700 0.774 0.921
30 O 0.200 0.726 0.079
31 O 0.937 0.443 0.554
32 O 0.437 0.057 0.446
33 O 0.063 0.943 0.946
34 O 0.563 0.557 0.054
35 O 0.147 0.007 0.608
36 O 0.800 0.226 0.421

Which of them is most stable? Easy: entry x.